Record 1
## HfNi3 (r²SCAN)

Data for a relaxed HfNi3 crystal.

a b c (Å): 7.0390 7.0390 7.0390
angles (deg): 43.52 43.52 43.52
Element x y z (fractional)
1 Hf 0.0000 0.0000 0.0000
2 Hf 0.2188 0.2188 0.2188
3 Hf 0.7812 0.7812 0.7812
4 Ni 0.0000 0.5000 0.5000
5 Ni 0.2447 0.7125 0.7125
6 Ni 0.2875 0.2875 0.7553
7 Ni 0.2875 0.7553 0.2875
8 Ni 0.5000 0.0000 0.5000
9 Ni 0.5000 0.5000 0.0000
10 Ni 0.7125 0.2447 0.7125
11 Ni 0.7125 0.7125 0.2447
12 Ni 0.7553 0.2875 0.2875

Summary:
Calculated total energy: -20.7896 eV per atom
Mass density: 11.77 g cm⁻³
Crystal system: trigonal
Calculated volume: 12.51 A^3/atom
DFT formation energy: -11.89 kcal/mol of atoms

=====

Record 2
## YbSbPd (r²SCAN)

Data for a relaxed YbSbPd crystal.

a b c (Å): 4.7728 4.7728 4.7728
angles (deg): 60.00 60.00 60.00
Element x y z (fractional)
1 Yb 0.0000 0.0000 0.0000
2 Sb 0.2500 0.2500 0.2500
3 Pd 0.7500 0.7500 0.7500

Summary:
Calculated total energy: -28.9131 eV per atom
Mass density: 8.67 g cm⁻³
Crystal system: cubic
Calculated volume: 25.63 A^3/atom
DFT formation energy: -11.86 kcal/mol of atoms

=====

Record 3
## LaNd3 (r²SCAN)

Data for a relaxed LaNd3 crystal.

a b c (Å): 7.5690 7.5690 5.9073
angles (deg): 90.00 90.00 120.00
Element x y z (fractional)
1 La 0.3333 0.6667 0.2500
2 La 0.6667 0.3333 0.7500
3 Nd 0.1661 0.3322 0.7500
4 Nd 0.1661 0.8339 0.7500
5 Nd 0.3322 0.1661 0.2500
6 Nd 0.6678 0.8339 0.7500
7 Nd 0.8339 0.1661 0.2500
8 Nd 0.8339 0.6678 0.2500

Summary:
Calculated total energy: -29.4682 eV per atom
Mass density: 6.48 g cm⁻³
Crystal system: hexagonal
Calculated volume: 36.64 A^3/atom
Distance to the lowest polymorph of the same formula: 9 meV per atom
DFT formation energy: 0.73 kcal/mol of atoms